# 1
KMg6CoO8 PBE with a Hubbard U relaxed; mass density = 3.65 g/cm3; total moment = 4.000 μB/cell; energy of formation from the pure elements = -2.346 eV/atom; SG = P4/mmm
1.0
-4.7111 4.7356 5.8338
-3.4153 -0.0406 -2.7251
-1.4285 -3.6942 1.8452
K Mg Co O
1 6 1 8
direct
0.0000 0.5000 0.5000 K
0.5000 0.0000 0.0000 Mg
0.5000 0.5000 0.5000 Mg
0.2595 0.0000 0.5000 Mg
0.7405 0.0000 0.5000 Mg
0.2595 0.5000 0.0000 Mg
0.7405 0.5000 0.0000 Mg
0.0000 0.0000 0.0000 Co
0.2476 0.0000 0.0000 O
0.7524 0.0000 0.0000 O
0.2750 0.5000 0.5000 O
0.7250 0.5000 0.5000 O
0.0000 0.0000 0.5000 O
0.5000 0.0000 0.5000 O
0.0000 0.5000 0.0000 O
0.5000 0.5000 0.0000 O

***

# 2
Sr3LaV3O12 PBE with a Hubbard U relaxed; mass density = 4.40 g/cm3; total moment = 0.001 μB/cell; energy of formation from the pure elements = -3.044 eV/atom; SG = Cm
1.0
2.1981 -10.6120 2.0692
6.7825 -7.7925 3.8733
-3.4574 0.0531 8.7024
Sr La V O
6 2 6 24
direct
0.0039 0.0039 0.0074 Sr
0.3318 0.3318 0.6621 Sr
0.6653 0.6653 0.3255 Sr
0.7996 0.7996 0.0048 Sr
0.1342 0.1342 0.6684 Sr
0.1990 0.1990 0.0017 Sr
0.5217 0.5217 0.6356 La
0.8791 0.8791 0.3365 La
0.9354 0.9354 0.6666 V
0.2702 0.2702 0.3255 V
0.6027 0.6027 0.9882 V
0.0622 0.0622 0.3489 V
0.3970 0.3970 0.0086 V
0.7313 0.7313 0.6692 V
0.5471 0.5471 0.1303 O
0.8777 0.8777 0.8051 O
0.2136 0.2136 0.4690 O
0.4545 0.4545 0.8597 O
0.7920 0.7920 0.5265 O
0.1188 0.1188 0.2057 O
0.3173 0.8313 0.4587 O
0.6602 0.1413 0.1084 O
0.9873 0.4899 0.7752 O
0.8313 0.3173 0.4587 O
0.1413 0.6602 0.1084 O
0.4899 0.9873 0.7752 O
0.9885 0.9885 0.2844 O
0.3232 0.3232 0.9446 O
0.6563 0.6563 0.6112 O
0.6793 0.1790 0.5597 O
0.0107 0.5117 0.2205 O
0.3403 0.8485 0.8849 O
0.1790 0.6793 0.5597 O
0.5117 0.0107 0.2205 O
0.8485 0.3403 0.8849 O
0.0105 0.0105 0.7234 O
0.3441 0.3441 0.3885 O
0.6781 0.6781 0.0515 O

***

# 3
Li2NbNi3O8 PBE with a Hubbard U relaxed; mass density = 4.74 g/cm3; total moment = 6.009 μB/cell; energy of formation from the pure elements = -1.776 eV/atom; SG = P6_3mc
1.0
2.9381 -5.0889 0.0000
2.9381 5.0889 0.0000
0.0000 0.0000 9.6364
Li Nb Ni O
4 2 6 16
direct
0.3333 0.6667 0.8939 Li
0.0000 0.0000 0.9924 Li
0.0000 0.0000 0.4924 Li
0.6667 0.3333 0.3939 Li
0.3333 0.6667 0.4961 Nb
0.6667 0.3333 0.9961 Nb
0.1685 0.8315 0.2154 Ni
0.1685 0.3370 0.2154 Ni
0.6630 0.8315 0.2154 Ni
0.3370 0.1685 0.7154 Ni
0.8315 0.6630 0.7154 Ni
0.8315 0.1685 0.7154 Ni
0.1639 0.8361 0.5926 O
0.0341 0.5171 0.3424 O
0.3333 0.6667 0.1182 O
0.0000 0.0000 0.3025 O
0.0000 0.0000 0.8025 O
0.1639 0.3278 0.5926 O
0.4829 0.9659 0.3424 O
0.4829 0.5171 0.3424 O
0.3278 0.1639 0.0926 O
0.6722 0.8361 0.5926 O
0.5171 0.4829 0.8424 O
0.5171 0.0341 0.8424 O
0.6667 0.3333 0.6182 O
0.8361 0.6722 0.0926 O
0.9659 0.4829 0.8424 O
0.8361 0.1639 0.0926 O

***

# 4
CsMnCuF6 PBE with a Hubbard U relaxed; mass density = 4.11 g/cm3; total moment = 9.615 μB/cell; energy of formation from the pure elements = -2.558 eV/atom; SG = Imma
1.0
0.9714 3.3429 6.6131
0.1162 6.6384 -3.4307
-5.7528 -4.7279 -0.6352
Cs Mn Cu F
2 2 2 12
direct
0.8735 0.6235 0.2500 Cs
0.1265 0.3765 0.7500 Cs
0.5000 0.0000 0.5000 Mn
0.0000 0.0000 0.0000 Mn
0.5000 0.0000 0.0000 Cu
0.5000 0.5000 0.5000 Cu
0.8232 0.0732 0.7500 F
0.4341 0.6841 0.7500 F
0.8272 0.6910 0.7571 F
0.4339 0.0701 0.7429 F
0.8272 0.0701 0.1362 F
0.4339 0.6910 0.3638 F
0.1768 0.9268 0.2500 F
0.5659 0.3159 0.2500 F
0.1728 0.3090 0.2429 F
0.5661 0.9299 0.2571 F
0.1728 0.9299 0.8638 F
0.5661 0.3090 0.6362 F

***

# 5
CaCrBiO5 PBE with a Hubbard U relaxed; mass density = 4.70 g/cm3; total moment = 4.001 μB/cell; energy of formation from the pure elements = -2.229 eV/atom; SG = P2_1/c
1.0
5.8657 -0.2254 0.0000
-2.7968 7.8491 0.0000
0.0000 0.0000 11.8657
Ca Cr Bi O
4 4 4 20
direct
0.6428 0.1895 0.9139 Ca
0.3572 0.8105 0.0861 Ca
0.8572 0.3105 0.4139 Ca
0.1428 0.6895 0.5861 Ca
0.8013 0.9707 0.6467 Cr
0.1987 0.0293 0.3533 Cr
0.6987 0.5293 0.1467 Cr
0.3013 0.4707 0.8533 Cr
0.1359 0.1667 0.0932 Bi
0.8641 0.8333 0.9068 Bi
0.6359 0.6667 0.4068 Bi
0.3641 0.3333 0.5932 Bi
0.5658 0.3332 0.0779 O
0.0754 0.3300 0.9410 O
0.4963 0.6244 0.1817 O
0.7419 0.5120 0.5255 O
0.8019 0.4992 0.2791 O
0.3019 0.9992 0.2209 O
0.5754 0.8300 0.5590 O
0.4246 0.1700 0.4410 O
0.2581 0.4880 0.4745 O
0.9342 0.1668 0.5779 O
0.1981 0.5008 0.7209 O
0.4342 0.6668 0.9221 O
0.0658 0.8332 0.4221 O
0.6981 0.0008 0.7791 O
0.7581 0.9880 0.0255 O
0.2419 0.0120 0.9745 O
0.5037 0.3756 0.8183 O
0.9246 0.6700 0.0590 O
0.0037 0.8756 0.6817 O
0.9963 0.1244 0.3183 O

***

# 6
Li5Mn2P3O12 PBE with a Hubbard U relaxed; mass density = 2.92 g/cm3; total moment = 40.000 μB/cell; energy of formation from the pure elements = -2.638 eV/atom; SG = P2_1/c
1.0
-8.6736 -0.8200 -1.7640
-1.1754 -4.0342 7.6545
-3.3173 7.1760 12.9756
Li Mn P O
20 8 12 48
direct
0.9011 0.6097 0.3085 Li
0.2750 0.6252 0.2530 Li
0.3247 0.8685 0.0356 Li
0.4765 0.2784 0.6484 Li
0.2254 0.9811 0.8192 Li
0.7254 0.0189 0.6808 Li
0.8247 0.1315 0.4644 Li
0.7750 0.3748 0.2470 Li
0.4011 0.3903 0.1915 Li
0.9765 0.7216 0.8516 Li
0.0235 0.2784 0.1484 Li
0.5989 0.6097 0.8085 Li
0.2250 0.6252 0.7530 Li
0.1753 0.8685 0.5356 Li
0.2746 0.9811 0.3192 Li
0.7746 0.0189 0.1808 Li
0.5235 0.7216 0.3516 Li
0.6753 0.1315 0.9644 Li
0.7250 0.3748 0.7470 Li
0.0989 0.3903 0.6915 Li
0.9570 0.6613 0.0963 Mn
0.4570 0.3387 0.4037 Mn
0.0504 0.1475 0.6060 Mn
0.5504 0.8525 0.8940 Mn
0.4496 0.1475 0.1060 Mn
0.9496 0.8525 0.3940 Mn
0.5430 0.6613 0.5963 Mn
0.0430 0.3387 0.9037 Mn
0.7484 0.4378 0.5065 P
0.6110 0.7451 0.1529 P
0.8929 0.0544 0.8426 P
0.1110 0.2549 0.3471 P
0.3929 0.9456 0.6574 P
0.2484 0.5622 0.9935 P
0.7516 0.4378 0.0065 P
0.6071 0.0544 0.3426 P
0.8890 0.7451 0.6529 P
0.1071 0.9456 0.1574 P
0.3890 0.2549 0.8471 P
0.2516 0.5622 0.4935 P
0.1331 0.4103 0.5558 O
0.1363 0.8031 0.1269 O
0.3151 0.5725 0.3948 O
0.4067 0.1278 0.8054 O
0.6202 0.4840 0.4259 O
0.6077 0.8659 0.0296 O
0.7660 0.6445 0.1915 O
0.0195 0.1336 0.7571 O
0.7400 0.0359 0.8004 O
0.8154 0.2426 0.5459 O
0.4789 0.6039 0.1978 O
0.9480 0.8630 0.9344 O
0.9789 0.3961 0.3022 O
0.4480 0.1370 0.5656 O
0.2660 0.3555 0.3085 O
0.1077 0.1341 0.4704 O
0.3154 0.7574 0.9541 O
0.2400 0.9641 0.6996 O
0.5195 0.8664 0.7429 O
0.1202 0.5160 0.0741 O
0.8151 0.4275 0.1052 O
0.6363 0.1969 0.3731 O
0.9067 0.8722 0.6946 O
0.6331 0.5897 0.9442 O
0.3669 0.4103 0.0558 O
0.0933 0.1278 0.3054 O
0.3637 0.8031 0.6269 O
0.1849 0.5725 0.8948 O
0.8798 0.4840 0.9259 O
0.4805 0.1336 0.2571 O
0.7600 0.0359 0.3004 O
0.6846 0.2426 0.0459 O
0.8923 0.8659 0.5296 O
0.7340 0.6445 0.6915 O
0.5520 0.8630 0.4344 O
0.0211 0.6039 0.6978 O
0.0520 0.1370 0.0656 O
0.5211 0.3961 0.8022 O
0.1846 0.7574 0.4541 O
0.2600 0.9641 0.1996 O
0.9805 0.8664 0.2429 O
0.2340 0.3555 0.8085 O
0.3923 0.1341 0.9704 O
0.3798 0.5160 0.5741 O
0.5933 0.8722 0.1946 O
0.6849 0.4275 0.6052 O
0.8637 0.1969 0.8731 O
0.8669 0.5897 0.4442 O

***

# 7
IrWO6 PBE with a Hubbard U relaxed; mass density = 7.48 g/cm3; total moment = 0.001 μB/cell; energy of formation from the pure elements = -1.558 eV/atom; SG = P2_1/c
1.0
-4.4926 2.7409 0.9003
-2.6709 -3.4128 -2.9383
-4.0086 -7.6007 3.1363
Ir W O
2 2 12
direct
0.5000 0.5000 0.5000 Ir
0.0000 0.5000 0.0000 Ir
0.5000 0.0000 0.0000 W
0.0000 0.0000 0.5000 W
0.4890 0.6727 0.2514 O
0.2065 0.8312 0.9618 O
0.2092 0.2573 0.5382 O
0.7092 0.7427 0.9618 O
0.7065 0.1688 0.5382 O
0.9890 0.3273 0.2486 O
0.0110 0.6727 0.7514 O
0.2935 0.8312 0.4618 O
0.2908 0.2573 0.0382 O
0.7935 0.1688 0.0382 O
0.7908 0.7427 0.4618 O
0.5110 0.3273 0.7486 O

***

# 8
Li2MnPCO7 PBE with a Hubbard U relaxed; mass density = 2.63 g/cm3; total moment = 0.000 μB/cell; energy of formation from the pure elements = -2.347 eV/atom; SG = P-1
1.0
0.9445 1.0957 5.0828
4.3646 4.1928 -1.8905
-5.6986 6.2493 0.0676
Li Mn P C O
4 2 2 2 14
direct
0.0949 0.1213 0.1947 Li
0.6507 0.9828 0.8109 Li
0.0734 0.6179 0.2704 Li
0.6722 0.4862 0.7352 Li
0.0990 0.7930 0.6568 Mn
0.6464 0.3108 0.3486 Mn
0.5814 0.7991 0.4376 P
0.1638 0.3046 0.5676 P
0.6020 0.2892 0.0515 C
0.1438 0.8148 0.9542 C
0.1290 0.8349 0.1028 O
0.6166 0.2687 0.9028 O
0.8122 0.3068 0.1332 O
0.9336 0.7970 0.8723 O
0.3963 0.2944 0.1381 O
0.3495 0.8102 0.8675 O
0.6725 0.0043 0.3511 O
0.0730 0.0995 0.6545 O
0.6838 0.6202 0.3316 O
0.0613 0.4835 0.6734 O
0.2826 0.7819 0.4505 O
0.4625 0.3216 0.5550 O
0.0625 0.3235 0.3992 O
0.6830 0.7797 0.6057 O

***

# 9
Na3LiMo2O8 PBE with a Hubbard U relaxed; mass density = 2.69 g/cm3; total moment = 0.000 μB/cell; energy of formation from the pure elements = -2.108 eV/atom; SG = Cc
1.0
0.0000 -9.1832 0.0000
-6.4510 4.5916 3.2322
1.1675 0.0000 -8.8234
Na Li Mo O
6 2 4 16
direct
0.6279 0.2913 0.8683 Na
0.6635 0.2913 0.3683 Na
0.3314 0.4841 0.8828 Na
0.1527 0.4841 0.3828 Na
0.1548 0.9765 0.8896 Na
0.8217 0.9765 0.3896 Na
0.5447 0.5993 0.6277 Li
0.0546 0.5993 0.1277 Li
0.7690 0.0311 0.9940 Mo
0.2622 0.0311 0.4940 Mo
0.9894 0.4715 0.7000 Mo
0.4821 0.4715 0.2000 Mo
0.4902 0.2410 0.1204 O
0.7508 0.2410 0.6204 O
0.1196 0.3685 0.6224 O
0.2489 0.3685 0.1224 O
0.0069 0.6161 0.5983 O
0.6092 0.6161 0.0983 O
0.5288 0.7994 0.8623 O
0.2706 0.7994 0.3623 O
0.8792 0.9136 0.8865 O
0.0344 0.9136 0.3865 O
0.3127 0.1361 0.7327 O
0.8234 0.1361 0.2327 O
0.5806 0.6625 0.4435 O
0.0819 0.6625 0.9435 O
0.4311 0.2735 0.4908 O
0.8424 0.2735 0.9908 O

***

# 10
LiMnP4O12 PBE with a Hubbard U relaxed; mass density = 2.40 g/cm3; total moment = 7.998 μB/cell; energy of formation from the pure elements = -2.542 eV/atom; SG = C2/m
1.0
6.0533 8.3860 0.0000
-6.0533 8.3860 0.0000
0.0000 0.9657 5.1414
Li Mn P O
2 2 8 24
direct
0.5740 0.5740 0.4154 Li
0.4260 0.4260 0.5846 Li
0.5000 0.0000 0.0000 Mn
0.0000 0.5000 0.0000 Mn
0.3047 0.0617 0.5163 P
0.0617 0.3047 0.5163 P
0.6321 0.2145 0.1812 P
0.9383 0.6953 0.4837 P
0.3679 0.7855 0.8188 P
0.6953 0.9383 0.4837 P
0.2145 0.6321 0.1812 P
0.7855 0.3679 0.8188 P
0.0732 0.3314 0.2218 O
0.5503 0.1675 0.0165 O
0.6686 0.9268 0.7782 O
0.2325 0.7675 0.0000 O
0.8973 0.6044 0.3361 O
0.8533 0.8533 0.4170 O
0.7675 0.2325 0.0000 O
0.3376 0.5616 0.3185 O
0.3956 0.1027 0.6639 O
0.6624 0.4384 0.6815 O
0.4497 0.8325 0.9835 O
0.3314 0.0732 0.2218 O
0.4384 0.6624 0.6815 O
0.5616 0.3376 0.3185 O
0.0890 0.7060 0.3843 O
0.2940 0.9110 0.6157 O
0.1675 0.5503 0.0165 O
0.1467 0.1467 0.5830 O
0.1027 0.3956 0.6639 O
0.9268 0.6686 0.7782 O
0.7060 0.0890 0.3843 O
0.8325 0.4497 0.9835 O
0.6044 0.8973 0.3361 O
0.9110 0.2940 0.6157 O

***

# 11
MgCr2Hg2O8 PBE with a Hubbard U relaxed; mass density = 5.62 g/cm3; total moment = 0.009 μB/cell; energy of formation from the pure elements = -1.444 eV/atom; SG = Amm2
1.0
5.5301 0.2140 0.0000
-2.1638 5.0936 0.0000
0.0000 0.0000 6.7851
Mg Cr Hg O
1 2 2 8
direct
0.6650 0.3350 0.7500 Mg
0.6422 0.3578 0.2500 Cr
0.3616 0.6384 0.7500 Cr
0.9956 0.0044 0.4814 Hg
0.9956 0.0044 0.0186 Hg
0.6938 0.7286 0.7500 O
0.3017 0.2350 0.2500 O
0.7650 0.6983 0.2500 O
0.2715 0.3062 0.7500 O
0.2565 0.7435 0.9451 O
0.7474 0.2526 0.4838 O
0.7474 0.2526 0.0162 O
0.2565 0.7435 0.5549 O